(1)
Entry from the Materials Project: a geometry-optimized Mn3NbCo2P6O24 structure (GGA+U).

Unit cell a=8.6623 b=8.6623 c=20.8129 alpha=90.00 beta=90.00 gamma=120.00
Space group R3 (No. 146, hexagonal axes)
Unique sites:
Mn 0.0000 0.0000 0.0000
Mn 0.0000 0.0000 0.2135
Mn 0.0000 0.0000 0.4989
Nb 0.0000 0.0000 0.7146
Co 0.0000 0.0000 0.3566
Co 0.0000 0.0000 0.8607
P 0.0004 0.7016 0.6039
P 0.0077 0.2935 0.1062
O 0.0009 0.8020 0.5438
O 0.0020 0.1951 0.0444
O 0.0021 0.1972 0.1679
O 0.0076 0.8134 0.6644
O 0.0156 0.1862 0.7779
O 0.0186 0.8345 0.2814
O 0.1704 0.4849 0.0988
O 0.1704 0.6839 0.6004

Summary:
**Crystal system**: trigonal

(2)
Entry from the Materials Project: a geometry-optimized NdMn4CoO12 structure (GGA+U).

Unit cell a=7.7438 b=7.3124 c=7.2635 alpha=90.00 beta=90.00 gamma=90.00
Space group Amm2 (No. 38)
Unique sites:
Nd 0.0000 0.0000 0.0000
Mn 0.2603 0.2493 0.2816
Co 0.5000 0.0000 0.5557
O 0.0000 0.1975 0.2908
O 0.1979 0.0000 0.7248
O 0.2539 0.1799 0.0330
O 0.3271 0.0000 0.3648
O 0.5000 0.1827 0.7370

Summary:
**Crystal system**: orthorhombic

Calculated formation energy, record by record: -2370; -1685 meV/atom